K2Sb9PbSe15 | GGA-PBE | optimized geometry

Computed properties:
crystal system	monoclinic

Lattice parameters (Å, degrees): 17.3209 4.2253 22.2987 90.00 99.11 90.00
Element x y z (fractional)
K 0.0041 0.2500 0.1266
K 0.2842 0.2500 0.1944
K 0.7158 0.7500 0.8056
K 0.9959 0.7500 0.8734
Sb 0.0443 0.7500 0.3390
Sb 0.1102 0.2500 0.5337
Sb 0.1712 0.7500 0.0320
Sb 0.2571 0.2500 0.3912
Sb 0.3043 0.2500 0.8891
Sb 0.3162 0.7500 0.5528
Sb 0.4268 0.7500 0.0614
Sb 0.4447 0.7500 0.7938
Sb 0.4654 0.7500 0.4094
Sb 0.5346 0.2500 0.5906
Sb 0.5553 0.2500 0.2062
Sb 0.5732 0.2500 0.9386
Sb 0.6838 0.2500 0.4472
Sb 0.6957 0.7500 0.1109
Sb 0.7429 0.7500 0.6088
Sb 0.8288 0.2500 0.9680
Sb 0.8898 0.7500 0.4663
Sb 0.9557 0.2500 0.6610
Pb 0.1738 0.7500 0.7324
Pb 0.8262 0.2500 0.2676
Se 0.0415 0.7500 0.5881
Se 0.0640 0.2500 0.7583
Se 0.0760 0.2500 0.9937
Se 0.1222 0.2500 0.2951
Se 0.1518 0.7500 0.1419
Se 0.1849 0.7500 0.4596
Se 0.1982 0.7500 0.8661
Se 0.2437 0.2500 0.6137
Se 0.3236 0.2500 0.0431
Se 0.3250 0.7500 0.3303
Se 0.3259 0.2500 0.7721
Se 0.3899 0.2500 0.4877
Se 0.4352 0.7500 0.9114
Se 0.4371 0.7500 0.1819
Se 0.4702 0.7500 0.6459
Se 0.5298 0.2500 0.3541
Se 0.5629 0.2500 0.8181
Se 0.5648 0.2500 0.0886
Se 0.6101 0.7500 0.5123
Se 0.6741 0.7500 0.2279
Se 0.6750 0.2500 0.6697
Se 0.6764 0.7500 0.9569
Se 0.7563 0.7500 0.3863
Se 0.8018 0.2500 0.1339
Se 0.8151 0.2500 0.5404
Se 0.8482 0.2500 0.8581
Se 0.8778 0.7500 0.7049
Se 0.9240 0.7500 0.0063
Se 0.9360 0.7500 0.2417
Se 0.9585 0.2500 0.4119

K2Pd | GGA-PBE | optimized geometry

Computed properties:
crystal system	tetragonal

Lattice parameters (Å, degrees): 5.6671 5.6671 3.6653 90.00 90.00 90.00
Element x y z (fractional)
K 0.0000 0.5000 0.0000
K 0.5000 0.0000 0.0000
Pd 0.0000 0.0000 0.5000

K2UPd3S6 | GGA-PBE | optimized geometry

Computed properties:
crystal system	orthorhombic

Lattice parameters (Å, degrees): 11.0488 9.6945 8.6967 73.62 57.33 49.04
Element x y z (fractional)
K 0.2054 0.7946 0.2054
K 0.2500 0.2500 0.2500
K 0.7500 0.7500 0.7500
K 0.7946 0.2054 0.7946
U 0.3309 0.3309 0.6691
U 0.6691 0.6691 0.3309
Pd 0.0043 0.6788 0.9957
Pd 0.3212 0.9957 0.6788
Pd 0.3272 0.6728 0.6728
Pd 0.6728 0.3272 0.3272
Pd 0.6788 0.0043 0.3212
Pd 0.9957 0.3212 0.0043
S 0.0923 0.3188 0.6812
S 0.1009 0.6910 0.6717
S 0.3090 0.8991 0.4636
S 0.3188 0.0923 0.9077
S 0.3283 0.4636 0.8991
S 0.4636 0.3283 0.3090
S 0.5364 0.6717 0.6910
S 0.6717 0.5364 0.1009
S 0.6812 0.9077 0.0923
S 0.6910 0.1009 0.5364
S 0.8991 0.3090 0.3283
S 0.9077 0.6812 0.3188

K2PdSe10 | GGA-PBE | optimized geometry

Computed properties:
crystal system	orthorhombic

Lattice parameters (Å, degrees): 13.2139 13.2139 13.2139 122.92 103.24 103.15
Element x y z (fractional)
K 0.0534 0.7729 0.5303
K 0.2447 0.4698 0.0229
K 0.2553 0.2782 0.2251
K 0.4466 0.9769 0.7194
K 0.5531 0.0302 0.2749
K 0.7426 0.5231 0.9697
K 0.7574 0.7271 0.7806
K 0.9469 0.2218 0.4771
Pd 0.2500 0.1251 0.8751
Pd 0.2500 0.6247 0.3747
Pd 0.7500 0.3749 0.6249
Pd 0.7500 0.8753 0.1253
Se 0.0332 0.8896 0.3324
Se 0.0523 0.5601 0.2279
Se 0.0572 0.7008 0.1676
Se 0.0784 0.5713 0.8715
Se 0.0909 0.9658 0.8575
Se 0.1083 0.1429 0.7335
Se 0.1681 0.4919 0.4396
Se 0.1704 0.5263 0.7235
Se 0.1972 0.9737 0.1442
Se 0.1998 0.2069 0.6285
Se 0.3002 0.9287 0.0071
Se 0.3028 0.4470 0.7765
Se 0.3296 0.0530 0.3558
Se 0.3319 0.7715 0.3238
Se 0.3917 0.1252 0.0346
Se 0.4091 0.2666 0.8749
Se 0.4216 0.2931 0.4929
Se 0.4428 0.6104 0.6436
Se 0.4477 0.6756 0.5078
Se 0.4668 0.7992 0.8564
Se 0.5330 0.8321 0.3896
Se 0.5524 0.7285 0.0604
Se 0.5574 0.6679 0.2009
Se 0.5781 0.3713 0.0714
Se 0.5906 0.3571 0.4654
Se 0.6083 0.2334 0.6425
Se 0.6678 0.9399 0.9922
Se 0.6700 0.2230 0.0255
Se 0.6975 0.6445 0.4745
Se 0.7002 0.1287 0.7068
Se 0.7998 0.5066 0.4286
Se 0.8025 0.2770 0.9470
Se 0.8300 0.8555 0.5530
Se 0.8322 0.8244 0.2721
Se 0.8917 0.5342 0.6251
Se 0.9094 0.3748 0.7665
Se 0.9219 0.9934 0.7932
Se 0.9426 0.1434 0.1104
Se 0.9476 0.0081 0.1762
Se 0.9670 0.3566 0.2991

KSi4Pd4 | GGA-PBE | optimized geometry

Computed properties:
crystal system	tetragonal

Lattice parameters (Å, degrees): 6.4256 6.4256 6.4256 97.42 97.42 137.89
Element x y z (fractional)
K 0.0000 0.0000 0.0000
Si 0.2314 0.7298 0.2767
Si 0.4531 0.9547 0.7233
Si 0.7298 0.4531 0.4984
Si 0.9547 0.2314 0.5016
Pd 0.0225 0.5159 0.8539
Pd 0.1686 0.0225 0.5066
Pd 0.5159 0.6620 0.4934
Pd 0.6620 0.1686 0.1461

K3Pm | GGA-PBE | optimized geometry

Computed properties:
crystal system	hexagonal
energy above the most stable polymorph in this dataset	0.000	eV/atom

Lattice parameters (Å, degrees): 8.6592 8.6592 7.1118 90.00 90.00 120.00
Element x y z (fractional)
K 0.1707 0.3414 0.2500
K 0.1707 0.8293 0.2500
K 0.3414 0.1707 0.7500
K 0.6586 0.8293 0.2500
K 0.8293 0.1707 0.7500
K 0.8293 0.6586 0.7500
Pm 0.3333 0.6667 0.7500
Pm 0.6667 0.3333 0.2500

Energy of formation from the pure elements, respectively: -657 132 -1180 -760 -538 553 meV per atom.
Uncorrected energy, respectively: -3.9331 -2.3350 -5.4182 -3.6556 -5.3745 -1.4671 eV per atom.